(1)
DFT (GGA-PBE) results for a relaxed Er3Al5O12 crystal.

Cell lengths 12.0502, 12.0502, 12.0502 Å; angles 90.00, 90.00, 90.00 degrees
Last column: nearest neighbours and their distance in Å.
Space group Ia-3d (No. 230)
Inequivalent atoms, fractional coordinates:
Er: 0.0000 0.2500 0.1250 (multiplicity 24)  8 O 2.31-2.44
Al: 0.0000 0.0000 0.0000 (multiplicity 16)  6 O 1.94
Al: 0.0000 0.2500 0.3750 (multiplicity 24)  4 O 1.78
O: 0.0298 0.0514 0.6494 (multiplicity 96)  2 Al 1.78-1.94

Calculated total energy, Ha/atom: -0.290


(2)
DFT (GGA-PBE) results for a relaxed Er3Sc2Al3O12 crystal.

Cell lengths 12.3833, 12.3833, 12.3833 Å; angles 90.00, 90.00, 90.00 degrees
Last column: nearest neighbours and their distance in Å.
Space group Ia-3d (No. 230)
Inequivalent atoms, fractional coordinates:
Er: 0.0000 0.2500 0.1250 (multiplicity 24)  8 O 2.36-2.45
Sc: 0.0000 0.0000 0.0000 (multiplicity 16)  6 O 2.11
Al: 0.0000 0.2500 0.3750 (multiplicity 24)  4 O 1.79
O: 0.0308 0.0576 0.6571 (multiplicity 96)  1 Al 1.79

Size of the total moment, μB per formula unit: 0.0
Calculated total energy, Ha/atom: -0.304


(3)
DFT (GGA-PBE) results for a relaxed Y9Er3Al20O48 crystal.

Cell lengths 17.1469, 12.1252, 12.1220 Å; angles 90.00, 134.98, 90.00 degrees
Last column: nearest neighbours and their distance in Å.
Space group C2 (No. 5)
Inequivalent atoms, fractional coordinates:
Y: 0.0000 0.0002 0.0000 (multiplicity 2)  8 O 2.33-2.47
Y: 0.0000 0.2501 0.5000 (multiplicity 2)  8 O 2.33-2.47
Y: 0.0000 0.5000 0.0000 (multiplicity 2)  8 O 2.33-2.47
Y: 0.1250 0.3751 0.8750 (multiplicity 4)  8 O 2.33-2.47
Y: 0.1251 0.8750 0.3753 (multiplicity 4)  8 O 2.33-2.47
Y: 0.2500 0.1250 0.8750 (multiplicity 4)  8 O 2.33-2.47
Er: 0.0000 0.7499 0.5000 (multiplicity 2)  8 O 2.32-2.45
Er: 0.2502 0.1252 0.3751 (multiplicity 4)  8 O 2.32-2.45
Al: 0.0000 0.9995 0.5000 (multiplicity 2)  4 O 1.78
Al: 0.0003 0.1251 0.2501 (multiplicity 4)  6 O 1.95
Al: 0.0000 0.2499 0.0000 (multiplicity 2)  4 O 1.78
Al: 0.0000 0.5008 0.5000 (multiplicity 2)  4 O 1.78
Al: 0.0003 0.6252 0.2508 (multiplicity 4)  6 O 1.95
Al: 0.0000 0.7501 0.0000 (multiplicity 2)  4 O 1.78
Al: 0.1252 0.3751 0.3752 (multiplicity 4)  4 O 1.78
Al: 0.1249 0.8750 0.8746 (multiplicity 4)  4 O 1.78
Al: 0.2503 0.1252 0.1259 (multiplicity 4)  4 O 1.78
Al: 0.2500 0.1251 0.6245 (multiplicity 4)  4 O 1.78
Al: 0.2502 0.3745 0.2504 (multiplicity 4)  6 O 1.95
Al: 0.2499 0.3755 0.7497 (multiplicity 4)  6 O 1.95
O: 0.0309 0.2743 0.3316 (multiplicity 4)  2 Al 1.78-1.95
O: 0.0310 0.4759 0.2305 (multiplicity 4)  2 Al 1.78-1.95
O: 0.0310 0.7743 0.7293 (multiplicity 4)  2 Al 1.78-1.95
O: 0.0310 0.9758 0.8317 (multiplicity 4)  2 Al 1.78-1.95
O: 0.0504 0.0940 0.6513 (multiplicity 4)  2 Al 1.78-1.95
O: 0.0505 0.6561 0.9495 (multiplicity 4)  2 Al 1.78-1.95
O: 0.0513 0.5954 0.4513 (multiplicity 4)  2 Al 1.78-1.95
O: 0.0517 0.1560 0.1523 (multiplicity 4)  2 Al 1.78-1.95
O: 0.1002 0.9048 0.5498 (multiplicity 4)  2 Al 1.78-1.95
O: 0.1008 0.3440 0.0502 (multiplicity 4)  2 Al 1.78-1.95
O: 0.1007 0.4062 0.6513 (multiplicity 4)  2 Al 1.78-1.95
O: 0.1008 0.8441 0.1516 (multiplicity 4)  2 Al 1.78-1.95
O: 0.1492 0.1757 0.9305 (multiplicity 4)  2 Al 1.78-1.95
O: 0.1492 0.5745 0.8681 (multiplicity 4)  2 Al 1.78-1.95
O: 0.1498 0.0746 0.4296 (multiplicity 4)  2 Al 1.78-1.95
O: 0.1498 0.6754 0.3701 (multiplicity 4)  2 Al 1.78-1.95
O: 0.1994 0.2259 0.6683 (multiplicity 4)  2 Al 1.78-1.95
O: 0.1986 0.7252 0.7283 (multiplicity 4)  2 Al 1.78-1.95
O: 0.1997 0.0250 0.1700 (multiplicity 4)  2 Al 1.78-1.95
O: 0.1996 0.5242 0.2308 (multiplicity 4)  2 Al 1.78-1.95
O: 0.2191 0.3234 0.3684 (multiplicity 4)  2 Al 1.78-1.95
O: 0.2190 0.4268 0.5696 (multiplicity 4)  2 Al 1.78-1.95
O: 0.2190 0.8246 0.0698 (multiplicity 4)  2 Al 1.78-1.95
O: 0.2191 0.9256 0.8682 (multiplicity 4)  2 Al 1.78-1.95

Size of the total moment, μB per formula unit: 0.0
Calculated total energy, Ha/atom: -0.297


(4)
DFT (GGA-PBE) results for a relaxed YErAl2O6 crystal.

Cell lengths 7.4101, 5.1864, 5.3824 Å; angles 90.00, 90.00, 90.00 degrees
Last column: nearest neighbours and their distance in Å.
Space group Pmc2_1 (No. 26)
Inequivalent atoms, fractional coordinates:
Y: 0.0000 0.2367 0.0000 (multiplicity 2)  6 O 2.26-2.49
Er: 0.5000 0.2628 0.8829 (multiplicity 2)  6 O 2.24-2.46
Al: 0.2514 0.2496 0.4426 (multiplicity 4)  6 O 1.91-1.95
O: 0.0000 0.3346 0.4202 (multiplicity 2)  2 Al 1.92
O: 0.2064 0.0480 0.7403 (multiplicity 4)  2 Al 1.92-1.94
O: 0.2980 0.4520 0.1450 (multiplicity 4)  2 Al 1.92-1.95
O: 0.5000 0.1598 0.4690 (multiplicity 2)  2 Al 1.91

Size of the total moment, μB per formula unit: 0.0
Calculated total energy, Ha/atom: -0.300


(5)
DFT (GGA-PBE) results for a relaxed Er3Al12Os4 crystal.

Cell lengths 8.8244, 8.8244, 9.5395 Å; angles 90.00, 90.00, 120.00 degrees
Last column: nearest neighbours and their distance in Å.
Space group P6_3/mmc (No. 194)
Inequivalent atoms, fractional coordinates:
Er: 0.1938 0.3877 0.2500 (multiplicity 6)  11 Al 2.96-3.22
Al: 0.0000 0.0000 0.2500 (multiplicity 2)  2 Os 2.38
Al: 0.1198 0.5599 0.7500 (multiplicity 6)  2 Os 2.55, 6 Al 2.82-2.83
Al: 0.1627 0.3253 0.5761 (multiplicity 12)  3 Os 2.59-2.68, 5 Al 2.75-2.88
Al: 0.3333 0.6667 0.0151 (multiplicity 4)  3 Os 2.55, 3 Al 2.75
Os: 0.0000 0.0000 0.0000 (multiplicity 2)  8 Al 2.38-2.59
Os: 0.0000 0.5000 0.0000 (multiplicity 6)  8 Al 2.55-2.68

Calculated total energy, Ha/atom: -0.222


(6)
DFT (GGA-PBE) results for a relaxed Er2Al9Pd3 crystal.

Cell lengths 13.2268, 7.6806, 9.4472 Å; angles 90.00, 90.00, 90.00 degrees
Last column: nearest neighbours and their distance in Å.
Space group Cmcm (No. 63)
Inequivalent atoms, fractional coordinates:
Er: 0.1626 0.1679 0.2500 (multiplicity 8)  11 Al 3.05-3.19
Al: 0.0000 0.1268 0.7500 (multiplicity 4)  2 Pd 2.55, 6 Al 2.77-2.79
Al: 0.0000 0.3334 0.0607 (multiplicity 8)  3 Pd 2.62-2.67, 5 Al 2.80-2.87
Al: 0.1048 0.4417 0.7500 (multiplicity 8)  2 Pd 2.56, 6 Al 2.77-2.85
Al: 0.1673 0.1669 0.5770 (multiplicity 16)  3 Pd 2.59-2.66, 3 Al 2.77-2.87
Pd: 0.0000 0.0000 0.0000 (multiplicity 4)  8 Al 2.55-2.66
Pd: 0.1716 0.5000 0.0000 (multiplicity 8)  8 Al 2.56-2.67

Size of the total moment, μB per formula unit: 0.0
Calculated total energy, Ha/atom: -0.178


(7)
DFT (GGA-PBE) results for a relaxed Er4Al24Pt9 crystal.

Cell lengths 7.5215, 7.5221, 13.1446 Å; angles 84.59, 79.04, 60.17 degrees
Last column: nearest neighbours and their distance in Å.
Space group P-1 (No. 2)
Inequivalent atoms, fractional coordinates:
Er: 0.0624 0.3318 0.3078 (multiplicity 2)  11 Al 3.07-3.21, 3 Pt 3.28-3.33
Er: 0.2673 0.9990 0.6923 (multiplicity 2)  11 Al 3.06-3.21, 3 Pt 3.28-3.32
Al: 0.0178 0.6659 0.4440 (multiplicity 2)  3 Pt 2.55-2.62, 3 Al 2.75-2.84
Al: 0.1173 0.6652 0.1711 (multiplicity 2)  3 Pt 2.53-2.56
Al: 0.1469 0.3331 0.0588 (multiplicity 2)  4 Pt 2.55-2.69
Al: 0.1856 0.0009 0.9412 (multiplicity 2)  4 Pt 2.55-2.69
Al: 0.1924 0.8691 0.3155 (multiplicity 2)  2 Pt 2.51-2.58, 4 Al 2.68-2.75
Al: 0.2299 0.6603 0.8303 (multiplicity 2)  3 Pt 2.53-2.55, 1 Al 2.83
Al: 0.3162 0.6684 0.5474 (multiplicity 2)  3 Pt 2.58-2.64, 5 Al 2.80-2.84
Al: 0.3526 0.0009 0.4440 (multiplicity 2)  3 Pt 2.55-2.62, 3 Al 2.75-2.84
Al: 0.3971 0.4578 0.3163 (multiplicity 2)  2 Pt 2.52-2.57, 4 Al 2.68-2.81
Al: 0.3979 0.3363 0.6832 (multiplicity 2)  2 Pt 2.51-2.57, 4 Al 2.68-2.80
Al: 0.4439 0.9937 0.1714 (multiplicity 2)  3 Pt 2.52-2.56
Al: 0.4792 0.6672 0.0617 (multiplicity 2)  4 Pt 2.57-2.76, 3 Al 2.83-2.84
Pt: 0.0000 0.0000 0.5000 (multiplicity 1)  8 Al 2.58-2.62
Pt: 0.1120 0.0085 0.1390 (multiplicity 2)  8 Al 2.51-2.76
Pt: 0.2041 0.3334 0.8610 (multiplicity 2)  8 Al 2.51-2.76
Pt: 0.3284 0.3287 0.4999 (multiplicity 2)  8 Al 2.55-2.64
Pt: 0.4543 0.3246 0.1374 (multiplicity 2)  8 Al 2.52-2.76

Calculated total energy, Ha/atom: -0.195


(8)
DFT (GGA-PBE) results for a relaxed Er3Al12Ru4 crystal.

Cell lengths 8.7977, 8.7977, 9.5427 Å; angles 90.00, 90.00, 120.00 degrees
Last column: nearest neighbours and their distance in Å.
Space group P6_3/mmc (No. 194)
Inequivalent atoms, fractional coordinates:
Er: 0.1940 0.3879 0.2500 (multiplicity 6)  11 Al 2.96-3.20
Al: 0.0000 0.0000 0.2500 (multiplicity 2)  2 Ru 2.39
Al: 0.1213 0.5606 0.7500 (multiplicity 6)  2 Ru 2.56, 6 Al 2.80-2.81
Al: 0.1619 0.3238 0.5776 (multiplicity 12)  3 Ru 2.58-2.68, 5 Al 2.76-2.88
Al: 0.3333 0.6667 0.0155 (multiplicity 4)  3 Ru 2.54, 3 Al 2.76
Ru: 0.0000 0.0000 0.0000 (multiplicity 2)  8 Al 2.39-2.58
Ru: 0.0000 0.5000 0.0000 (multiplicity 6)  8 Al 2.54-2.68

Calculated total energy, Ha/atom: -0.209


- Among the records above, which one has the highest calculated total energy?
  Er2Al9Pd3


- calculated total energy of number 8 (Er3Al12Ru4)?
  -0.209 Ha/atom


- Among the records above, which one has the highest calculated total energy?
  Er2Al9Pd3